1.
Density functional theory data (GGA-PBE) for a geometry-optimized H5PbCI3N2 structure.

Geometry as POSCAR:
```
H5PbCI3N2
1.0
-0.888 4.669 4.214
-5.922 -2.307 1.308
2.497 -3.754 4.686
I N C Pb H
3 2 1 1 5
Direct
0.984 0.000 0.500
0.463 0.000 0.000
0.921 0.500 0.000
0.427 0.500 0.320
0.427 0.500 0.680
0.520 0.500 0.500
0.965 0.000 0.000
0.267 0.500 0.299
0.518 0.500 0.191
0.692 0.500 0.500
0.267 0.500 0.701
0.518 0.500 0.809
```

Results
For the size of the total moment, the calculation gives 0.00 μB/cell. For the calculated density, the calculation gives 3.92 Mg/m³. The calculation puts the corrected total energy (MP2020 scheme) at -56.3 eV per formula unit. The calculation puts the calculated formation energy at -0.43 eV/atom.



2.
Density functional theory data (GGA-PBE) for a geometry-optimized H12PbC2I6N2 structure.

Geometry as POSCAR:
```
H12PbC2I6N2
1.0
-1.704 -4.077 7.492
8.201 1.387 2.622
-3.381 11.381 5.431
I Pb H C N
12 2 24 4 4
Direct
0.531 0.479 0.271
0.815 0.300 0.509
0.724 0.162 0.007
0.202 0.263 0.006
0.343 0.188 0.510
0.007 0.975 0.243
0.831 0.682 0.010
0.713 0.769 0.505
0.523 0.472 0.744
0.019 0.991 0.770
0.305 0.791 0.006
0.235 0.671 0.505
0.520 0.483 0.508
0.015 0.972 0.007
0.998 0.620 0.770
0.952 0.279 0.788
0.821 0.547 0.284
0.453 0.179 0.780
0.954 0.687 0.281
0.516 0.983 0.167
0.016 0.487 0.667
0.439 0.059 0.880
0.944 0.565 0.381
0.935 0.403 0.883
0.031 0.480 0.168
0.380 0.002 0.270
0.651 0.980 0.771
0.589 0.189 0.284
0.021 0.350 0.276
0.148 0.479 0.773
0.811 0.412 0.786
0.163 0.499 0.273
0.721 0.047 0.288
0.501 0.839 0.776
0.520 0.852 0.275
0.313 0.046 0.785
0.517 0.966 0.667
0.593 0.066 0.382
0.532 0.955 0.750
0.045 0.468 0.251
0.030 0.503 0.750
0.498 0.970 0.250
0.428 0.067 0.802
0.935 0.573 0.302
0.926 0.393 0.805
0.607 0.074 0.304
```

Results
For the size of the total moment, the calculation gives 0.00 μB/cell. For the calculated density, the calculation gives 3.46 Mg/m³. The calculation puts the corrected total energy (MP2020 scheme) at -96.3 eV per formula unit. The calculation puts the calculated formation energy at -0.33 eV/atom.



3.
Density functional theory data (GGA-PBE) for a geometry-optimized H5PbC2SIN6 structure.

Geometry as POSCAR:
```
H5PbC2SIN6
1.0
-11.223 -4.259 1.566
2.545 -4.345 6.420
-1.160 6.025 8.074
I H N S C Pb
4 20 24 4 8 4
Direct
0.370 0.845 0.139
0.630 0.155 0.861
0.130 0.345 0.139
0.870 0.655 0.861
0.073 0.673 0.178
0.368 0.195 0.751
0.194 0.588 0.894
0.601 0.261 0.089
0.927 0.327 0.822
0.132 0.695 0.751
0.094 0.853 0.056
0.632 0.805 0.249
0.101 0.239 0.911
0.906 0.147 0.944
0.594 0.647 0.944
0.573 0.827 0.822
0.306 0.088 0.894
0.399 0.739 0.911
0.406 0.353 0.056
0.806 0.412 0.106
0.427 0.173 0.178
0.899 0.761 0.089
0.868 0.305 0.249
0.694 0.912 0.106
0.295 0.186 0.806
0.449 0.588 0.650
0.130 0.064 0.558
0.205 0.686 0.806
0.786 0.862 0.275
0.059 0.802 0.150
0.057 0.165 0.862
0.557 0.335 0.138
0.949 0.912 0.350
0.705 0.814 0.194
0.943 0.835 0.138
0.441 0.302 0.150
0.286 0.638 0.725
0.714 0.362 0.275
0.051 0.088 0.650
0.370 0.564 0.558
0.870 0.936 0.442
0.941 0.198 0.850
0.559 0.698 0.850
0.443 0.665 0.862
0.551 0.412 0.350
0.795 0.314 0.194
0.214 0.138 0.725
0.630 0.436 0.442
0.354 0.090 0.525
0.854 0.410 0.475
0.146 0.590 0.525
0.646 0.910 0.475
0.104 0.135 0.748
0.271 0.594 0.603
0.604 0.365 0.252
0.229 0.094 0.603
0.729 0.406 0.397
0.396 0.635 0.748
0.771 0.906 0.397
0.896 0.865 0.252
0.346 0.442 0.347
0.154 0.942 0.347
0.846 0.058 0.653
0.654 0.558 0.653
```

Results
For the size of the total moment, the calculation gives 0.00 μB/cell. For the calculated density, the calculation gives 3.30 Mg/m³. The calculation puts the corrected total energy (MP2020 scheme) at -97.9 eV per formula unit. The calculation puts the calculated formation energy at -0.19 eV/atom.



4.
Density functional theory data (GGA-PBE) for a geometry-optimized H8PbC5S2IN structure.

Geometry as POSCAR:
```
H8PbC5S2IN
1.0
4.987 0.000 0.000
0.000 11.460 0.000
-1.726 0.000 20.618
S C Pb H N I
8 20 4 32 4 4
Direct
0.341 0.688 0.461
0.532 0.721 0.328
0.532 0.779 0.828
0.468 0.279 0.672
0.468 0.221 0.172
0.659 0.188 0.039
0.659 0.312 0.539
0.341 0.812 0.961
0.345 0.855 0.880
0.173 0.512 0.292
0.051 0.023 0.902
0.056 0.110 0.795
0.827 0.488 0.708
0.949 0.523 0.598
0.827 0.012 0.208
0.105 0.608 0.645
0.895 0.108 0.855
0.105 0.892 0.145
0.056 0.390 0.295
0.655 0.145 0.120
0.173 0.988 0.792
0.949 0.977 0.098
0.895 0.392 0.355
0.944 0.610 0.705
0.655 0.355 0.620
0.051 0.477 0.402
0.944 0.890 0.205
0.345 0.645 0.380
0.279 0.145 0.564
0.279 0.355 0.064
0.721 0.645 0.936
0.721 0.855 0.436
0.782 0.676 0.699
0.218 0.176 0.801
0.804 0.932 0.064
0.877 0.306 0.377
0.196 0.068 0.936
0.308 0.926 0.157
0.123 0.806 0.123
0.782 0.824 0.199
0.631 0.015 0.229
0.308 0.574 0.657
0.196 0.432 0.436
0.070 0.868 0.249
0.070 0.632 0.749
0.037 0.928 0.763
0.692 0.426 0.343
0.919 0.970 0.930
0.081 0.470 0.570
0.930 0.368 0.251
0.963 0.428 0.737
0.877 0.194 0.877
0.123 0.694 0.623
0.218 0.324 0.301
0.919 0.530 0.430
0.692 0.074 0.843
0.963 0.072 0.237
0.369 0.985 0.771
0.037 0.572 0.263
0.804 0.568 0.564
0.081 0.030 0.070
0.369 0.515 0.271
0.930 0.132 0.751
0.631 0.485 0.729
0.202 0.948 0.860
0.202 0.552 0.360
0.798 0.052 0.140
0.798 0.448 0.640
0.663 0.942 0.599
0.663 0.558 0.099
0.337 0.058 0.401
0.337 0.442 0.901
```

Results
For the size of the total moment, the calculation gives 0.13 μB/cell. For the calculated density, the calculation gives 2.71 Mg/m³. The calculation puts the corrected total energy (MP2020 scheme) at -99.3 eV per formula unit. The calculation puts the calculated formation energy at -0.23 eV/atom.



5.
Density functional theory data (GGA-PBE) for a geometry-optimized H6PbC3S2IN structure.

Geometry as POSCAR:
```
H6PbC3S2IN
1.0
0.000 -8.467 0.000
-9.708 0.000 4.802
-0.007 0.000 -11.813
I H N C Pb S
4 24 4 12 4 8
Direct
0.926 0.654 0.682
0.074 0.346 0.318
0.574 0.654 0.182
0.426 0.346 0.818
0.930 0.852 0.017
0.579 0.030 0.631
0.570 0.852 0.517
0.247 0.080 0.896
0.422 0.053 0.098
0.753 0.920 0.104
0.084 0.914 0.643
0.430 0.148 0.483
0.253 0.080 0.396
0.248 0.023 0.167
0.748 0.977 0.333
0.421 0.970 0.369
0.252 0.023 0.667
0.070 0.148 0.983
0.921 0.030 0.131
0.079 0.970 0.869
0.752 0.977 0.833
0.578 0.947 0.902
0.747 0.920 0.604
0.584 0.086 0.857
0.922 0.947 0.402
0.078 0.053 0.598
0.416 0.914 0.143
0.916 0.086 0.357
0.935 0.888 0.207
0.565 0.888 0.707
0.065 0.112 0.793
0.435 0.112 0.293
0.118 0.076 0.891
0.977 0.224 0.816
0.377 0.020 0.167
0.618 0.924 0.609
0.523 0.224 0.316
0.623 0.980 0.833
0.123 0.020 0.667
0.877 0.980 0.333
0.477 0.776 0.684
0.882 0.924 0.109
0.382 0.076 0.391
0.023 0.776 0.184
0.734 0.493 0.379
0.234 0.507 0.121
0.266 0.507 0.621
0.766 0.493 0.879
0.089 0.674 0.031
0.074 0.733 0.303
0.589 0.326 0.469
0.911 0.326 0.969
0.574 0.267 0.197
0.926 0.267 0.697
0.411 0.674 0.531
0.426 0.733 0.803
```

Results
For the size of the total moment, the calculation gives 0.00 μB/cell. For the calculated density, the calculation gives 3.11 Mg/m³. The calculation puts the corrected total energy (MP2020 scheme) at -73.7 eV per formula unit. The calculation puts the calculated formation energy at -0.27 eV/atom.



6.
Density functional theory data (GGA-PBE) for a geometry-optimized H6RuCI3N structure.

Geometry as POSCAR:
```
H6RuCI3N
1.0
-0.997 -5.457 -6.173
2.474 -6.147 4.929
-11.026 -1.766 3.373
Ru I N H C
4 12 4 24 4
Direct
0.997 0.008 0.487
0.500 0.475 0.485
0.498 0.497 0.986
0.000 0.013 0.986
0.499 0.502 0.243
0.741 0.257 0.989
0.002 0.002 0.229
0.502 0.484 0.730
0.759 0.763 0.486
0.257 0.259 0.986
0.237 0.761 0.487
0.239 0.243 0.482
0.997 0.009 0.743
0.257 0.742 0.980
0.755 0.244 0.481
0.736 0.737 0.982
0.499 0.999 0.148
0.499 0.997 0.648
0.004 0.506 0.148
0.999 0.501 0.648
0.121 0.477 0.306
0.913 0.421 0.808
0.583 0.077 0.113
0.123 0.467 0.803
0.894 0.539 0.112
0.036 0.394 0.115
0.889 0.541 0.615
0.084 0.578 0.612
0.609 0.057 0.805
0.394 0.072 0.804
0.964 0.626 0.304
0.594 0.929 0.616
0.087 0.588 0.115
0.022 0.387 0.615
0.507 0.112 0.613
0.395 0.945 0.615
0.527 0.885 0.117
0.413 0.919 0.308
0.389 0.033 0.115
0.622 0.970 0.305
0.490 0.877 0.807
0.915 0.415 0.304
0.472 0.127 0.302
0.976 0.627 0.804
0.003 0.504 0.775
0.001 0.506 0.274
0.501 0.004 0.275
0.498 0.001 0.775
```

Results
For the size of the total moment, the calculation gives 8.10 μB/cell. For the calculated density, the calculation gives 4.27 Mg/m³. The calculation puts the corrected total energy (MP2020 scheme) at -53.3 eV per formula unit. As for the energy above the most stable polymorph in this dataset: 27 meV per atom. The calculation puts the calculated formation energy at -0.13 eV/atom.



7.
Density functional theory data (GGA-PBE) for a geometry-optimized H6RuCI3N structure.

Geometry as POSCAR:
```
H6RuCI3N
1.0
-1.114 -0.889 -7.551
-6.771 -3.389 1.378
-6.253 12.212 -0.667
H I Ru N C
24 12 4 4 4
Direct
0.044 0.614 0.699
0.394 0.951 0.372
0.089 0.388 0.721
0.497 0.844 0.851
0.089 0.430 0.193
0.013 0.646 0.216
0.507 0.859 0.213
0.924 0.553 0.380
0.951 0.424 0.882
0.362 0.982 0.709
0.869 0.463 0.712
0.913 0.632 0.861
0.386 0.057 0.204
0.417 0.041 0.880
0.118 0.560 0.869
0.496 0.141 0.363
0.609 0.957 0.372
0.862 0.471 0.211
0.995 0.351 0.356
0.619 0.063 0.204
0.591 0.940 0.692
0.135 0.514 0.362
0.517 0.154 0.721
0.629 0.013 0.865
0.485 0.478 0.251
0.250 0.264 0.520
0.242 0.756 0.033
0.755 0.762 0.033
0.003 0.019 0.289
0.248 0.235 0.019
0.263 0.754 0.509
0.730 0.254 0.517
0.766 0.246 0.020
0.987 0.996 0.692
0.498 0.511 0.849
0.755 0.732 0.502
0.996 0.009 0.488
0.493 0.498 0.447
0.001 0.005 0.091
0.499 0.495 0.053
0.995 0.530 0.842
0.500 0.013 0.340
0.510 0.977 0.838
0.013 0.481 0.338
0.503 0.997 0.233
0.494 0.016 0.732
0.000 0.496 0.736
0.993 0.509 0.232
```

Results
For the size of the total moment, the calculation gives 4.00 μB/cell. For the calculated density, the calculation gives 4.20 Mg/m³. The calculation puts the corrected total energy (MP2020 scheme) at -53.6 eV per formula unit. As for the energy above the most stable polymorph in this dataset: 0 meV per atom. The calculation puts the calculated formation energy at -0.15 eV/atom.